Entry 1:
As2S3O12: optimized geometry, PBE.

## Properties
Space-group type = No. 14
ΔH_f (0 K) = -1.670 eV/atom

Cell and atoms, written as extended XYZ:
```
68
Lattice="5.472 0.000 0.000 0.000 9.595 0.000 0.000 0.800 19.836" Properties=species:S:1:pos:R:3 pbc="T T T"
As 1.479 9.078 17.267
As 4.215 1.718 12.488
As 3.788 3.922 7.377
As 1.052 6.074 2.541
As 1.257 8.678 7.349
As 4.420 4.322 17.295
As 1.684 6.474 12.459
As 3.993 1.318 2.569
O 0.603 6.533 5.331
O 2.532 0.903 17.882
O 0.293 5.278 12.729
O 1.494 6.176 0.710
O 3.029 5.518 17.025
O 2.271 9.480 4.299
O 1.919 3.015 9.467
O 3.339 3.462 4.587
O 4.581 6.936 15.723
O 3.553 7.380 10.369
O 2.345 7.388 3.002
O 4.438 1.544 0.766
O 2.941 9.492 1.954
O 2.468 2.466 2.523
O 3.323 0.995 7.402
O 3.628 6.536 5.805
O 0.346 6.602 18.415
O 5.007 0.515 5.619
O 0.587 9.001 2.516
O 3.770 1.944 10.684
O 4.869 3.862 14.505
O 1.845 3.860 14.031
O 5.081 2.608 6.916
O 3.005 7.929 17.313
O 0.391 7.788 12.920
O 2.149 9.401 12.434
O 5.204 7.529 7.395
O 2.390 6.202 8.497
O 5.126 3.793 1.421
O 5.179 5.118 7.107
O 4.655 6.980 0.451
O 4.230 3.819 9.208
O 3.128 3.008 16.834
O 1.034 8.852 19.070
O 3.978 4.219 19.126
O 2.443 4.878 2.811
O 0.465 9.880 14.217
O 0.817 3.415 19.385
O 4.885 1.395 17.320
O 3.201 0.916 15.537
O 3.082 4.193 11.339
O 0.269 2.866 12.441
O 2.133 6.933 15.249
O 1.702 8.452 9.152
O 0.892 3.460 4.113
O 5.268 9.893 11.872
O 0.204 0.503 7.964
O 1.242 6.576 10.628
S 4.981 6.452 6.268
S 1.938 8.894 3.026
S 0.491 3.943 13.568
S 2.245 3.543 3.650
S 3.534 1.502 16.810
S 0.379 7.494 19.553
S 3.115 3.302 10.201
S 0.798 9.294 12.944
S 4.674 1.102 6.892
S 2.357 7.094 9.635
S 5.093 2.901 0.283
S 3.228 6.853 16.186
```

Entry 2:
SbAs2O7: optimized geometry, PBE.

## Properties
Size of the total moment = 0.0 μB per cell
Space-group type = No. 14
ΔH_f (0 K) = -1.517 eV/atom

Cell and atoms, written as extended XYZ:
```
40
Lattice="-1.270 -4.282 8.437 7.271 -1.373 0.398 4.353 7.638 4.532" Properties=species:S:1:pos:R:3 pbc="T T T"
O 4.407 -3.095 9.157
O 10.034 1.692 11.859
O 4.981 -3.225 6.349
O 5.946 5.078 4.211
O 7.993 1.546 3.959
O 2.719 -2.007 7.300
O 2.929 4.732 3.836
O 3.028 -0.445 2.135
O 5.017 2.744 5.644
O 8.184 -1.027 7.424
O 6.954 -0.091 9.967
O 0.355 -2.803 6.003
O 10.002 2.424 9.131
O 7.325 2.428 11.233
O 7.634 3.991 6.068
O 4.850 1.660 9.866
O 7.045 2.281 8.357
O 0.351 -0.441 4.237
O 3.399 2.075 3.400
O 0.319 0.292 1.509
O 5.503 0.324 3.501
O 5.336 -0.760 7.723
O 5.372 5.208 7.018
O 2.360 0.438 9.408
O 9.998 4.787 7.365
O 3.308 -0.297 5.010
O 2.169 3.011 5.943
O 7.424 -2.748 9.531
Sb 8.749 3.111 7.552
Sb 7.032 0.842 2.232
Sb 3.321 1.142 11.136
Sb 1.604 -1.127 5.815
As 3.761 0.273 3.408
As 10.329 2.989 10.720
As 2.307 3.174 4.205
As 6.592 1.710 9.959
As 5.938 4.095 5.670
As 0.024 -1.005 2.648
As 8.046 -1.190 9.162
As 4.415 -2.111 7.697
```

Entry 3:
SbAsO5: optimized geometry, PBE.

## Properties
Piezoelectric modulus e_max = 0.08 C/m2
Space-group type = No. 19
Energy above the lowest structure with this stoichiometry = 0 meV/atom
ΔH_f (0 K) = -1.735 eV/atom

Cell and atoms, written as extended XYZ:
```
28
Lattice="-2.645 4.058 1.202 -4.947 -4.897 5.649 5.999 1.873 6.877" Properties=species:S:1:pos:R:3 pbc="T T T"
O -1.999 -1.838 5.388
O -0.574 2.059 8.677
O 3.205 -0.425 9.558
O 4.258 2.166 5.889
O -0.839 0.253 6.592
O 1.205 1.844 5.140
O 0.408 -1.162 9.401
O 0.945 0.863 11.177
O -4.111 -3.661 4.966
O 0.670 4.840 4.789
O -1.226 3.022 6.173
O 1.428 3.558 7.274
O -3.836 -2.945 8.032
O -6.223 -2.600 6.517
O -4.321 -0.488 7.081
O -1.660 -0.204 10.979
O -1.246 3.270 3.362
O -0.701 0.160 3.699
O 1.718 0.839 7.727
O -3.034 0.788 4.858
As 1.772 4.806 6.125
As 1.825 -0.667 8.540
As -1.634 -0.184 5.116
As -5.149 -1.886 7.675
Sb 1.314 0.476 3.739
Sb 0.183 -0.920 11.414
Sb 0.262 1.939 6.849
Sb -4.946 0.572 5.454
```

Entry 4:
Sb3As4O16: optimized geometry, PBE.

## Properties
Size of the total moment = 0.3 μB per cell
Space-group type = No. 14
ΔH_f (0 K) = -1.469 eV/atom

Cell and atoms, written as extended XYZ:
```
46
Lattice="5.493 0.000 0.000 0.000 8.469 0.000 0.000 5.493 15.633" Properties=species:S:1:pos:R:3 pbc="T T T"
O 1.889 5.230 7.757
O 4.804 6.514 2.899
O 0.589 4.671 10.049
O 3.662 3.506 9.655
O 4.635 5.985 0.060
O 3.604 8.732 7.876
O 3.336 12.037 13.401
O 5.486 2.886 3.872
O 4.893 3.530 6.558
O 3.435 9.260 10.716
O 3.878 6.657 9.432
O 4.361 3.910 1.615
O 1.341 4.765 1.634
O 0.916 13.202 13.795
O 0.688 7.448 12.735
O 1.132 10.052 14.018
O 1.831 10.456 5.979
O 0.858 7.977 15.574
O 0.007 11.075 11.761
O 2.147 7.685 1.259
O 2.739 8.329 3.944
O 3.346 6.277 14.374
O 4.903 9.291 5.584
O 0.600 10.432 9.076
O 2.058 4.702 4.918
O 1.406 7.511 9.450
O 4.152 9.197 14.000
O 4.577 0.759 1.838
O 2.753 5.633 11.689
O 1.614 7.305 6.201
O 4.087 6.451 6.183
O 2.157 1.924 2.233
As 2.592 5.198 13.380
As 2.901 8.764 2.253
As 0.155 2.451 5.564
As 5.338 11.510 10.070
As 0.219 8.433 13.951
As 2.966 8.276 9.499
As 5.273 5.529 1.682
As 2.527 5.686 6.135
Sb 5.269 11.586 13.666
Sb 2.523 5.123 9.784
Sb 2.746 4.234 0.000
Sb 0.224 2.376 1.967
Sb 2.970 8.839 5.850
Sb 0.000 6.981 7.817
```

Entry 5:
SbAsO5: optimized geometry, PBE.

## Properties
Size of the total moment = 0.0 μB per cell
Space-group type = No. 19
Energy above the lowest structure with this stoichiometry = 178 meV/atom
ΔH_f (0 K) = -1.557 eV/atom

Cell and atoms, written as extended XYZ:
```
28
Lattice="-6.098 0.299 -1.476 -1.840 -2.553 7.082 -0.284 7.897 2.773" Properties=species:S:1:pos:R:3 pbc="T T T"
O -4.976 2.371 6.274
O -5.780 5.012 5.439
O -1.754 1.877 6.230
O -2.086 1.373 3.017
O -5.521 1.615 2.494
O -5.031 5.092 8.350
O -7.928 5.284 7.213
O -4.849 5.528 1.909
O -3.541 7.009 4.078
O -3.091 -0.658 6.546
O -0.874 3.701 4.234
O -3.105 4.632 6.279
O -1.107 -0.873 4.297
O -6.174 0.029 0.175
O -4.207 -0.771 3.983
O -3.968 3.619 3.855
O -6.404 -0.247 5.552
O -3.436 3.072 1.328
O -2.052 5.318 2.278
O -6.339 3.447 0.255
Sb -3.210 6.009 7.733
Sb -5.171 3.558 2.099
Sb -5.961 -1.641 4.180
Sb -2.102 3.360 2.745
As -4.515 3.804 5.639
As -6.711 0.719 1.555
As -1.769 0.423 6.972
As -3.450 6.341 2.590
```

Entry 6:
Sm2As2O5: optimized geometry, PBE.

## Properties
Size of the total moment = 0.1 μB per cell
Space-group type = No. 123
ΔH_f (0 K) = -2.091 eV/atom

Cell and atoms, written as extended XYZ:
```
9
Lattice="-2.449 -2.358 1.684 1.881 -2.971 -1.424 5.634 -0.216 7.893" Properties=species:S:1:pos:R:3 pbc="T T T"
O -0.489 -1.207 1.872
O 2.533 -2.773 4.076
O 1.676 -1.514 0.318
O 5.840 -1.674 6.151
O 3.674 -1.367 7.705
Sm 3.928 -2.826 6.031
Sm 1.138 -2.719 2.122
As 0.000 0.000 0.000
As 2.817 -0.108 3.947
```

Entry 7:
SmAsO2: optimized geometry, PBE.

## Properties
Size of the total moment = 0.1 μB per cell
Space-group type = No. 88
ΔH_f (0 K) = -2.020 eV/atom

Cell and atoms, written as extended XYZ:
```
16
Lattice="-4.746 -2.738 3.587 2.961 -5.818 -0.524 3.953 5.394 3.369" Properties=species:S:1:pos:R:3 pbc="T T T"
Sm 3.482 1.521 2.779
Sm 0.613 -5.454 2.626
Sm 1.109 0.152 4.572
Sm -0.868 -2.545 2.888
O 0.384 -2.109 4.894
O -0.125 -0.304 2.559
O 3.317 -0.536 3.996
O 1.833 2.413 4.251
O 0.796 -3.417 1.401
O -1.099 0.840 5.149
O -1.611 -4.786 3.216
O -2.532 -1.673 4.374
As 1.505 -1.176 1.094
As 2.589 -2.757 4.310
As 4.962 -1.388 2.516
As 2.986 -4.085 0.832
```

Entry 8:
SmZn2AsO2: optimized geometry, PBE.

## Properties
Size of the total moment = 0.6 μB per cell
Space-group type = No. 123
ΔH_f (0 K) = -0.771 eV/atom

Cell and atoms, written as extended XYZ:
```
6
Lattice="3.576 0.000 0.000 0.000 3.576 0.000 0.000 0.000 12.353" Properties=species:S:1:pos:R:3 pbc="T T T"
O 1.788 1.788 8.321
O 1.788 1.788 4.032
Zn 1.788 1.788 2.281
Zn 1.788 1.788 10.072
As 1.788 1.788 0.000
Sm 1.788 1.788 6.177
```

Entry 9:
SnAs2O9: optimized geometry, PBE.

## Properties
Size of the total moment = 16.0 μB per cell
Space-group type = No. 14
Energy above the lowest structure with this stoichiometry = 0 meV/atom
ΔH_f (0 K) = -1.175 eV/atom

Cell and atoms, written as extended XYZ:
```
48
Lattice="-0.998 3.589 3.577 -8.458 -2.598 0.247 -1.965 -11.847 11.338" Properties=species:S:1:pos:R:3 pbc="T T T"
O -2.862 -11.126 11.131
O -2.025 -2.611 4.256
O -8.503 -1.996 5.561
O -3.773 -0.734 2.510
O -8.036 -9.484 9.888
O -10.491 -11.152 12.441
O -2.577 1.744 4.498
O -6.580 -1.044 2.319
O -5.354 -2.058 5.884
O -8.559 0.270 4.031
O -6.472 -6.123 8.653
O -4.840 -9.811 12.843
O -6.067 -8.798 9.278
O -2.917 -8.860 9.601
O -1.533 -6.989 7.033
O -0.929 0.297 2.722
O -4.191 -2.692 8.366
O -2.173 -4.146 6.515
O -7.230 -8.164 6.796
O -9.395 -8.245 10.906
O -9.887 -3.867 8.129
O -3.192 -5.503 8.848
O -5.589 -11.886 10.953
O -7.647 -10.122 12.653
O -6.411 -7.712 11.821
O -6.922 -3.272 7.907
O -4.498 -7.583 7.256
O -4.948 -4.733 6.509
O -6.853 -4.283 3.500
O -5.831 1.030 4.209
O -9.247 -6.710 8.647
O -8.843 -12.600 10.664
O -5.009 -3.143 3.341
O -3.384 -1.371 5.274
O -4.567 -6.573 11.663
O -8.228 -5.353 6.314
Sn -9.081 -10.907 13.922
Sn -2.339 0.051 1.240
Sn -3.300 -5.949 6.833
Sn -8.120 -4.906 8.330
As -5.058 -1.830 2.173
As -10.367 -7.271 9.880
As -1.053 -3.585 5.283
As -9.416 -1.236 4.322
As -2.004 -9.620 10.841
As -5.348 -3.214 7.208
As -6.072 -7.641 7.954
As -6.362 -9.025 12.990
```

Entry 10:
Sn3As4O16: optimized geometry, PBE.

## Properties
Size of the total moment = 0.0 μB per cell
Space-group type = No. 14
ΔH_f (0 K) = -1.593 eV/atom

Cell and atoms, written as extended XYZ:
```
46
Lattice="-3.275 1.270 -3.660 1.995 -7.428 -4.362 -9.953 -12.105 4.707" Properties=species:S:1:pos:R:3 pbc="T T T"
As -8.203 -13.932 2.192
As -4.570 -7.358 -1.663
As -1.263 -7.994 -5.237
As -6.663 -10.905 -1.653
As -9.969 -10.270 1.921
As -3.428 -4.824 1.316
As -3.029 -4.332 -5.507
As -7.804 -13.440 -4.631
O -4.461 -13.143 -1.480
O -0.883 -4.673 -2.793
O -2.523 -2.135 -1.279
O -2.026 -7.734 -6.811
O -9.207 -10.530 3.495
O -5.253 -3.229 -3.250
O -7.486 -9.202 -1.517
O -2.742 -3.059 -4.130
O -8.779 -9.844 0.724
O -10.961 -11.479 1.398
O -8.490 -15.205 0.815
O -6.532 -8.563 2.155
O -9.942 -14.163 2.617
O -6.381 -14.027 -3.762
O -1.290 -4.101 -5.933
O -10.349 -13.590 -0.523
O -2.454 -8.419 -4.040
O -3.746 -9.062 -1.799
O -8.710 -16.129 -2.036
O -5.902 -10.295 -3.172
O -7.685 -12.163 -1.773
O -4.700 -9.701 -5.471
O -0.272 -6.785 -4.713
O -6.771 -5.121 -1.835
O -4.852 -4.236 0.447
O -5.980 -15.034 -0.065
O -5.330 -7.969 -0.144
O -5.670 -10.800 -0.227
O -5.563 -7.464 -3.089
O -3.494 -5.806 -5.004
O -7.739 -12.457 1.689
O -3.548 -6.100 -1.542
Sn -3.758 -9.911 -3.722
Sn -0.983 -2.887 -0.254
Sn -3.979 -9.767 0.172
Sn -10.250 -15.376 -3.062
Sn -7.474 -8.353 0.407
Sn -0.640 -3.079 -4.011
```